1.
{"formula": "PuCl2", "functional": "PBE-GGA", "state": "relaxed", "cell": [[6.8369, 0.0000, 0.0000], [0.0000, 6.8369, 0.0000], [0.0000, 0.0000, 4.0606]], "species": ["Pu", "Pu", "Cl", "Cl", "Cl", "Cl"], "frac_coords": [[0.0000, 0.0000, 0.0000], [0.5000, 0.5000, 0.5000], [0.2049, 0.2049, 0.5000], [0.2951, 0.7049, 0.0000], [0.7049, 0.2951, 0.0000], [0.7951, 0.7951, 0.5000]], "delta_e_f_kj_per_mol_atoms": -209.22}


2.
{"formula": "KZrPCO7", "functional": "PBE-GGA", "state": "relaxed", "cell": [[5.8625, 0.0000, 0.0000], [0.0000, 6.7141, 0.0000], [-0.1346, 0.0000, 10.0497]], "species": ["K", "K", "Zr", "Zr", "P", "P", "C", "C", "O", "O", "O", "O", "O", "O", "O", "O", "O", "O", "O", "O", "O", "O"], "frac_coords": [[0.2466, 0.0000, 0.2178], [0.7534, 0.5000, 0.7822], [0.2778, 0.1752, 0.6523], [0.7222, 0.6752, 0.3477], [0.2286, 0.6815, 0.5502], [0.7714, 0.1815, 0.4498], [0.2223, 0.2206, 0.9057], [0.7777, 0.7206, 0.0943], [0.0197, 0.1818, 0.5047], [0.0517, 0.2025, 0.8150], [0.1951, 0.2442, 0.0255], [0.2685, 0.8663, 0.6396], [0.2708, 0.4945, 0.6357], [0.3960, 0.6893, 0.4323], [0.4256, 0.2100, 0.8451], [0.5744, 0.7100, 0.1549], [0.6040, 0.1893, 0.5677], [0.7292, 0.9945, 0.3643], [0.7315, 0.3663, 0.3604], [0.8049, 0.7442, 0.9745], [0.9483, 0.7025, 0.1850], [0.9803, 0.6818, 0.4953]], "delta_e_f_kj_per_mol_atoms": -266.50, "magmom_total_mub_per_fu": 0.000, "piezo_max_c_m2": 0.65}


3.
{"formula": "Ba4PrDyCu6O14", "functional": "PBE-GGA", "state": "relaxed", "cell": [[3.8783, 0.0000, 0.0000], [0.0000, 3.9427, 0.0000], [0.0000, 0.0000, 23.6671]], "species": ["Ba", "Ba", "Ba", "Ba", "Pr", "Dy", "Cu", "Cu", "Cu", "Cu", "Cu", "Cu", "O", "O", "O", "O", "O", "O", "O", "O", "O", "O", "O", "O", "O", "O"], "frac_coords": [[0.0000, 0.0000, 0.1602], [0.0000, 0.0000, 0.3403], [0.0000, 0.0000, 0.6597], [0.0000, 0.0000, 0.8398], [0.0000, 0.0000, 0.0000], [0.0000, 0.0000, 0.5000], [0.5000, 0.5000, 0.0766], [0.5000, 0.5000, 0.2501], [0.5000, 0.5000, 0.4254], [0.5000, 0.5000, 0.5746], [0.5000, 0.5000, 0.7499], [0.5000, 0.5000, 0.9234], [0.0000, 0.5000, 0.0648], [0.0000, 0.5000, 0.4396], [0.0000, 0.5000, 0.5604], [0.0000, 0.5000, 0.9352], [0.5000, 0.0000, 0.0652], [0.5000, 0.0000, 0.2503], [0.5000, 0.0000, 0.4393], [0.5000, 0.0000, 0.5607], [0.5000, 0.0000, 0.7497], [0.5000, 0.0000, 0.9348], [0.5000, 0.5000, 0.1707], [0.5000, 0.5000, 0.3297], [0.5000, 0.5000, 0.6703], [0.5000, 0.5000, 0.8293]], "delta_e_f_kj_per_mol_atoms": -208.94, "magmom_total_mub_per_fu": 0.000}